Record 1
A relaxed Na2B5H5O12 crystal. Source: the Materials Project, functional GGA-PBE.

a b c (Å): 6.629 8.629 9.647
angles (deg): 71.72 76.85 72.05
Space group P-1 (No. 2)
Unique sites:
1 Na 0.039 0.096 0.134 (multiplicity 2)
2 Na 0.434 0.586 0.655 (multiplicity 2)
3 B 0.146 0.666 0.339 (multiplicity 2)
4 B 0.154 0.537 0.140 (multiplicity 2)
5 B 0.181 0.256 0.785 (multiplicity 2)
6 B 0.374 0.953 0.871 (multiplicity 2)
7 B 0.418 0.842 0.237 (multiplicity 2)
8 H 0.079 0.753 0.570 (multiplicity 2)
9 H 0.159 0.487 0.542 (multiplicity 2)
10 H 0.186 0.416 0.985 (multiplicity 2)
11 H 0.281 0.197 0.524 (multiplicity 2)
12 H 0.496 0.703 0.924 (multiplicity 2)
13 O 0.028 0.812 0.652 (multiplicity 2)
14 O 0.051 0.366 0.885 (multiplicity 2)
15 O 0.088 0.302 0.650 (multiplicity 2)
16 O 0.187 0.079 0.869 (multiplicity 2)
17 O 0.209 0.591 0.488 (multiplicity 2)
18 O 0.214 0.823 0.276 (multiplicity 2)
19 O 0.253 0.545 0.247 (multiplicity 2)
20 O 0.266 0.428 0.055 (multiplicity 2)
21 O 0.355 0.791 0.915 (multiplicity 2)
22 O 0.398 0.285 0.745 (multiplicity 2)
23 O 0.411 0.171 0.446 (multiplicity 2)
24 O 0.426 0.011 0.169 (multiplicity 2)

Computed properties:
Magnetic moment, μB per formula unit: 2.0
Formation enthalpy at 0 K, eV/f.u.: -49.96



Record 2
A relaxed RbNaB4H4O13 crystal. Source: the Materials Project, functional GGA-PBE.

a b c (Å): 7.678 11.237 13.393
angles (deg): 90.00 96.19 90.00
Space group P2_1/c (No. 14)
Unique sites:
1 Rb 0.032 0.105 0.135 (multiplicity 4)
2 Na 0.095 0.093 0.423 (multiplicity 4)
3 B 0.355 0.592 0.593 (multiplicity 4)
4 B 0.357 0.706 0.752 (multiplicity 4)
5 B 0.369 0.106 0.787 (multiplicity 4)
6 B 0.387 0.178 0.298 (multiplicity 4)
7 H 0.306 0.729 0.893 (multiplicity 4)
8 H 0.309 0.560 0.240 (multiplicity 4)
9 H 0.343 0.505 0.463 (multiplicity 4)
10 H 0.385 0.000 0.312 (multiplicity 4)
11 O 0.034 0.199 0.909 (multiplicity 4)
12 O 0.111 0.063 0.607 (multiplicity 4)
13 O 0.239 0.724 0.827 (multiplicity 4)
14 O 0.242 0.012 0.759 (multiplicity 4)
15 O 0.261 0.653 0.659 (multiplicity 4)
16 O 0.266 0.549 0.506 (multiplicity 4)
17 O 0.283 0.221 0.798 (multiplicity 4)
18 O 0.300 0.541 0.040 (multiplicity 4)
19 O 0.306 0.072 0.316 (multiplicity 4)
20 O 0.341 0.143 0.564 (multiplicity 4)
21 O 0.443 0.681 0.224 (multiplicity 4)
22 O 0.468 0.070 0.886 (multiplicity 4)
23 O 0.497 0.616 0.785 (multiplicity 4)

Computed properties:
Energy above the lowest structure with this stoichiometry, meV per atom: 272
Magnetic moment, μB per formula unit: 8.0
Formation enthalpy at 0 K, eV/f.u.: -36.60



Record 3
A relaxed RbNaB4H4O13 crystal. Source: the Materials Project, functional GGA-PBE.

a b c (Å): 7.280 11.195 14.422
angles (deg): 90.00 93.05 90.00
Space group P2_1/c (No. 14)
Unique sites:
1 Rb 0.034 0.086 0.117 (multiplicity 4)
2 Na 0.024 0.602 0.157 (multiplicity 4)
3 B 0.347 0.700 0.741 (multiplicity 4)
4 B 0.364 0.597 0.590 (multiplicity 4)
5 B 0.365 0.098 0.791 (multiplicity 4)
6 B 0.371 0.184 0.294 (multiplicity 4)
7 H 0.270 0.729 0.868 (multiplicity 4)
8 H 0.319 0.567 0.251 (multiplicity 4)
9 H 0.354 0.512 0.464 (multiplicity 4)
10 H 0.362 0.004 0.295 (multiplicity 4)
11 O 0.020 0.213 0.920 (multiplicity 4)
12 O 0.165 0.063 0.547 (multiplicity 4)
13 O 0.206 0.721 0.807 (multiplicity 4)
14 O 0.239 0.003 0.762 (multiplicity 4)
15 O 0.255 0.654 0.652 (multiplicity 4)
16 O 0.263 0.152 0.561 (multiplicity 4)
17 O 0.267 0.213 0.796 (multiplicity 4)
18 O 0.279 0.077 0.303 (multiplicity 4)
19 O 0.279 0.562 0.506 (multiplicity 4)
20 O 0.444 0.685 0.220 (multiplicity 4)
21 O 0.455 0.069 0.888 (multiplicity 4)
22 O 0.459 0.548 0.997 (multiplicity 4)
23 O 0.482 0.610 0.773 (multiplicity 4)

Computed properties:
Energy above the lowest structure with this stoichiometry, meV per atom: 0
Magnetic moment, μB per formula unit: 4.0
Formation enthalpy at 0 K, eV/f.u.: -42.87



Record 4
A relaxed NaScB4H16 crystal. Source: the Materials Project, functional GGA-PBE.

a b c (Å): 8.227 11.811 8.735
angles (deg): 90.00 90.00 90.00
Space group Cmcm (No. 63)
Unique sites:
1 Na 0.000 0.000 0.000 (multiplicity 4)
2 Sc 0.000 0.359 0.250 (multiplicity 4)
3 B 0.000 0.248 0.034 (multiplicity 8)
4 B 0.230 0.474 0.250 (multiplicity 8)
5 H 0.000 0.193 0.582 (multiplicity 8)
6 H 0.000 0.350 0.002 (multiplicity 8)
7 H 0.121 0.232 0.115 (multiplicity 16)
8 H 0.146 0.493 0.136 (multiplicity 16)
9 H 0.149 0.032 0.250 (multiplicity 8)
10 H 0.237 0.129 0.750 (multiplicity 8)

Computed properties:
Magnetic moment, μB per formula unit: 0.0
Formation enthalpy at 0 K, eV/f.u.: -8.62



Record 5
A relaxed NaYB4H16 crystal. Source: the Materials Project, functional GGA-PBE.

a b c (Å): 8.676 12.310 9.217
angles (deg): 90.00 90.00 90.00
Space group C222_1 (No. 20)
Unique sites:
1 Na 0.062 0.000 0.000 (multiplicity 4)
2 Y 0.000 0.348 0.750 (multiplicity 4)
3 B 0.002 0.231 0.968 (multiplicity 8)
4 B 0.236 0.463 0.750 (multiplicity 8)
5 H 0.001 0.176 0.424 (multiplicity 8)
6 H 0.031 0.326 0.000 (multiplicity 8)
7 H 0.101 0.201 0.879 (multiplicity 8)
8 H 0.125 0.229 0.595 (multiplicity 8)
9 H 0.141 0.496 0.840 (multiplicity 8)
10 H 0.148 0.017 0.745 (multiplicity 8)
11 H 0.173 0.468 0.629 (multiplicity 8)
12 H 0.237 0.133 0.275 (multiplicity 8)

Computed properties:
Energy above the lowest structure with this stoichiometry, meV per atom: 0
Magnetic moment, μB per formula unit: 0.0
Formation enthalpy at 0 K, eV/f.u.: -9.24



Record 6
A relaxed NaYB4H16 crystal. Source: the Materials Project, functional GGA-PBE.

a b c (Å): 8.669 12.366 9.263
angles (deg): 90.00 90.00 90.00
Space group Cmcm (No. 63)
Unique sites:
1 Na 0.000 0.000 0.000 (multiplicity 4)
2 Y 0.000 0.354 0.250 (multiplicity 4)
3 B 0.000 0.240 0.032 (multiplicity 8)
4 B 0.241 0.464 0.250 (multiplicity 8)
5 H 0.000 0.185 0.575 (multiplicity 8)
6 H 0.000 0.337 0.501 (multiplicity 8)
7 H 0.116 0.224 0.108 (multiplicity 16)
8 H 0.141 0.016 0.250 (multiplicity 8)
9 H 0.162 0.485 0.142 (multiplicity 16)
10 H 0.233 0.134 0.750 (multiplicity 8)

Computed properties:
Energy above the lowest structure with this stoichiometry, meV per atom: 2
Magnetic moment, μB per formula unit: 0.0
Formation enthalpy at 0 K, eV/f.u.: -9.19



Number 1: density 2.0 Mg/m³, VASP energy -308.2 eV/cell. Number 2: density 2.1 Mg/m³, VASP energy -538.4 eV/cell. Number 3: density 2.1 Mg/m³, VASP energy -563.4 eV/cell. Number 4: density 1.0 Mg/m³, VASP energy -377.6 eV/cell. Number 5: density 1.2 Mg/m³, VASP energy -380.7 eV/cell. Number 6: density 1.1 Mg/m³, VASP energy -380.5 eV/cell.